NaLaGeP2SO12: relaxed, PBE.

a b c (Å): 8.7877 9.2493 23.1775
angles (deg): 84.81 90.00 118.36
Last column: nearest neighbours and their distance in Å.
Atoms (fractional coordinates):
1 Na 0.9727 0.9654 0.4937  4 O 2.35-2.61
2 Na 0.9927 0.9654 0.9937  4 O 2.35-2.61
3 Na 0.6394 0.2987 0.8270  4 O 2.35-2.61
4 Na 0.6593 0.2987 0.3270  4 O 2.35-2.61
5 Na 0.3061 0.6321 0.1604  4 O 2.35-2.61
6 Na 0.3260 0.6321 0.6604  4 O 2.35-2.61
7 La 0.9961 0.0084 0.6388  5 O 2.20-2.40
8 La 0.0123 0.0084 0.1388  5 O 2.20-2.40
9 La 0.6627 0.3417 0.9721  5 O 2.20-2.40
10 La 0.6790 0.3417 0.4721  5 O 2.20-2.40
11 La 0.3294 0.6751 0.3054  5 O 2.20-2.40
12 La 0.3457 0.6751 0.8054  5 O 2.20-2.40
13 Ge 0.0244 0.0351 0.3577  5 O 1.89-1.96
14 Ge 0.0108 0.0351 0.8577  5 O 1.89-1.96
15 Ge 0.6910 0.3684 0.6910  5 O 1.89-1.96
16 Ge 0.6774 0.3684 0.1910  5 O 1.89-1.96
17 Ge 0.3577 0.7018 0.0243  5 O 1.89-1.96
18 Ge 0.3441 0.7018 0.5243  5 O 1.89-1.96
19 P 0.3150 0.0536 0.2526  4 O 1.51-1.60
20 P 0.9715 0.2721 0.2483  4 O 1.51-1.62
21 P 0.3005 0.2721 0.7483  4 O 1.51-1.62
22 P 0.7386 0.0536 0.7526  4 O 1.51-1.60
23 P 0.9817 0.3870 0.5859  4 O 1.51-1.60
24 P 0.6382 0.6054 0.5816  4 O 1.51-1.62
25 P 0.9672 0.6054 0.0816  4 O 1.51-1.62
26 P 0.4053 0.3870 0.0859  4 O 1.51-1.60
27 P 0.6483 0.7203 0.9192  4 O 1.51-1.60
28 P 0.3049 0.9387 0.9149  4 O 1.51-1.62
29 P 0.6339 0.9387 0.4149  4 O 1.51-1.62
30 P 0.0719 0.7203 0.4192  4 O 1.51-1.60
31 S 0.7179 0.6795 0.2495  4 O 1.45-1.56
32 S 0.9616 0.6795 0.7495  4 O 1.45-1.56
33 S 0.3846 0.0129 0.5829  4 O 1.45-1.56
34 S 0.6283 0.0129 0.0829  4 O 1.45-1.56
35 S 0.0512 0.3462 0.9162  4 O 1.45-1.56
36 S 0.2950 0.3462 0.4162  4 O 1.45-1.56
37 O 0.2118 0.0616 0.3078  1 P 1.60
38 O 0.8043 0.7505 0.3013  1 S 1.45
39 O 0.9485 0.1613 0.3093  1 P 1.62
40 O 0.2127 0.1613 0.8093  1 P 1.62
41 O 0.9462 0.7505 0.8013  1 S 1.45
42 O 0.8498 0.0616 0.8078  1 P 1.60
43 O 0.8098 0.0213 0.6989  1 P 1.51
44 O 0.1953 0.1889 0.6984  1 P 1.51
45 O 0.9843 0.7800 0.6949  1 S 1.46
46 O 0.7957 0.7800 0.1949  1 S 1.46
47 O 0.9936 0.1889 0.1984  1 P 1.51
48 O 0.2115 0.0213 0.1989  1 P 1.51
49 O 0.8784 0.3949 0.6411  1 P 1.60
50 O 0.4710 0.0838 0.6346  1 S 1.45
51 O 0.6152 0.4946 0.6426  1 P 1.62
52 O 0.8794 0.4946 0.1426  1 P 1.62
53 O 0.6128 0.0838 0.1346  1 S 1.45
54 O 0.5165 0.3949 0.1411  1 P 1.60
55 O 0.4765 0.3546 0.0323  1 P 1.51
56 O 0.8619 0.5222 0.0318  1 P 1.51
57 O 0.6509 0.1133 0.0282  1 S 1.46
58 O 0.4624 0.1133 0.5282  1 S 1.46
59 O 0.6603 0.5222 0.5318  1 P 1.51
60 O 0.8782 0.3546 0.5323  1 P 1.51
61 O 0.5451 0.7282 0.9745  1 P 1.60
62 O 0.1377 0.4172 0.9680  1 S 1.45
63 O 0.2819 0.8279 0.9760  1 P 1.62
64 O 0.5460 0.8279 0.4760  1 P 1.62
65 O 0.2795 0.4172 0.4680  1 S 1.45
66 O 0.1831 0.7282 0.4745  1 P 1.60
67 O 0.1431 0.6880 0.3656  1 P 1.51
68 O 0.5286 0.8555 0.3651  1 P 1.51
69 O 0.3176 0.4466 0.3615  1 S 1.46
70 O 0.1290 0.4466 0.8615  1 S 1.46
71 O 0.3269 0.8555 0.8651  1 P 1.51
72 O 0.5448 0.6880 0.8656  1 P 1.51
73 O 0.0786 0.8949 0.4108  1 P 1.58
74 O 0.8168 0.9417 0.4095  1 P 1.60
75 O 0.1200 0.1853 0.4141  1 S 1.56
76 O 0.0653 0.1853 0.9141  1 S 1.56
77 O 0.1248 0.9417 0.9095  1 P 1.60
78 O 0.8163 0.8949 0.9108  1 P 1.58
79 O 0.0365 0.2544 0.5954  1 P 1.52
80 O 0.1982 0.9639 0.5836  1 S 1.48
81 O 0.7835 0.7823 0.5854  1 P 1.53
82 O 0.9988 0.7823 0.0854  1 P 1.54
83 O 0.7657 0.9639 0.0836  1 S 1.48
84 O 0.2178 0.2544 0.0954  1 P 1.52
85 O 0.7452 0.2282 0.7442  1 P 1.58
86 O 0.4835 0.2750 0.7428  1 P 1.60
87 O 0.7867 0.5186 0.7474  1 S 1.56
88 O 0.7319 0.5186 0.2474  1 S 1.56
89 O 0.7915 0.2750 0.2428  1 P 1.60
90 O 0.4830 0.2282 0.2442  1 P 1.58
91 O 0.7032 0.5877 0.9288  1 P 1.52
92 O 0.8649 0.2973 0.9169  1 S 1.48
93 O 0.4502 0.1156 0.9188  1 P 1.53
94 O 0.6654 0.1156 0.4188  1 P 1.53
95 O 0.4324 0.2973 0.4169  1 S 1.48
96 O 0.8845 0.5877 0.4288  1 P 1.52
97 O 0.4119 0.5615 0.0775  1 P 1.58
98 O 0.1502 0.6083 0.0761  1 P 1.60
99 O 0.4533 0.8520 0.0808  1 S 1.56
100 O 0.3986 0.8520 0.5808  1 S 1.56
101 O 0.4582 0.6083 0.5761  1 P 1.60
102 O 0.1496 0.5615 0.5775  1 P 1.58
103 O 0.3699 0.9210 0.2621  1 P 1.52
104 O 0.5316 0.6306 0.2503  1 S 1.48
105 O 0.1168 0.4489 0.2521  1 P 1.53
106 O 0.3321 0.4489 0.7521  1 P 1.54
107 O 0.0990 0.6306 0.7503  1 S 1.48
108 O 0.5512 0.9210 0.7621  1 P 1.52

Calculated values
- energy of formation (eV/atom) = -2.528